#P
Density functional theory data (PBE+U) for a relaxed BaPrEuWO6 crystal.

Lattice parameters (Å, degrees): 6.123 6.123 6.123 60.00 60.00 60.00
Element x y z (fractional)
Ba 0.750 0.750 0.750
Pr 0.000 0.000 0.000
Eu 0.250 0.250 0.250
W 0.500 0.500 0.500
O 0.730 0.270 0.270
O 0.270 0.730 0.730
O 0.730 0.270 0.730
O 0.270 0.730 0.270
O 0.730 0.730 0.270
O 0.270 0.270 0.730

Output
M_tot   8.00 μB per cell

---

#Q
Density functional theory data (PBE+U) for a relaxed BaPrEuWO6 crystal.

Lattice parameters (Å, degrees): 6.029 6.086 8.596 90.15 90.46 89.90
Element x y z (fractional)
Ba 0.508 0.532 0.250
Ba 0.492 0.468 0.750
Pr 0.000 0.500 0.000
Pr 0.500 0.000 0.500
Eu 0.991 0.044 0.252
Eu 0.009 0.956 0.748
W 0.500 0.000 0.000
W 0.000 0.500 0.500
O 0.227 0.188 0.950
O 0.265 0.699 0.536
O 0.773 0.812 0.050
O 0.735 0.301 0.464
O 0.307 0.739 0.955
O 0.179 0.227 0.545
O 0.693 0.261 0.045
O 0.821 0.773 0.455
O 0.405 0.996 0.229
O 0.071 0.460 0.269
O 0.595 0.004 0.771
O 0.929 0.540 0.731

Output
M_tot   16.00 μB per cell

---

Most stable of them? #Q.